TlB2O5 | PBE | optimized geometry

Calculated values
symmetry	P2_12_12_1 (19)
DFT formation energy	-1772	meV per atom
spin magnetization	8.00	Bohr magnetons per cell
E_tot	-0.2473	Ha/atom

POSCAR file:
```
TlB2O5
1.0
8.716 0.000 0.000
0.000 9.609 0.000
0.000 0.000 11.144
Tl B O
8 16 40
direct
0.011 0.017 0.061
0.227 0.257 0.724
0.273 0.743 0.224
0.489 0.983 0.561
0.511 0.483 0.939
0.727 0.243 0.276
0.773 0.757 0.776
0.989 0.517 0.439
0.007 0.489 0.175
0.091 0.242 0.257
0.207 0.111 0.426
0.229 0.361 0.088
0.271 0.639 0.588
0.293 0.889 0.926
0.409 0.758 0.757
0.493 0.511 0.675
0.507 0.011 0.825
0.591 0.258 0.743
0.707 0.389 0.574
0.729 0.139 0.912
0.771 0.861 0.412
0.793 0.611 0.074
0.909 0.742 0.243
0.993 0.989 0.325
0.002 0.872 0.237
0.003 0.012 0.726
0.014 0.618 0.253
0.079 0.565 0.852
0.130 0.990 0.400
0.147 0.654 0.512
0.152 0.484 0.107
0.181 0.233 0.366
0.183 0.239 0.145
0.188 0.880 0.020
0.312 0.120 0.520
0.317 0.761 0.645
0.319 0.767 0.866
0.348 0.516 0.607
0.353 0.346 0.012
0.370 0.010 0.900
0.421 0.435 0.352
0.486 0.382 0.753
0.497 0.988 0.226
0.498 0.128 0.737
0.502 0.628 0.763
0.503 0.488 0.274
0.514 0.882 0.747
0.579 0.935 0.148
0.630 0.510 0.600
0.647 0.846 0.488
0.652 0.016 0.893
0.681 0.267 0.634
0.683 0.261 0.855
0.688 0.620 0.980
0.812 0.380 0.480
0.817 0.739 0.355
0.819 0.733 0.134
0.848 0.984 0.393
0.853 0.154 0.988
0.870 0.490 0.100
0.921 0.065 0.648
0.986 0.118 0.247
0.997 0.512 0.774
0.998 0.372 0.263
```